CdI2 | PBE | relaxed

Properties
The raw total energy comes out at -1.91 eV per atom. Its formation enthalpy at 0 K is -0.84 eV/atom. As for the space group: P-3m1, No. 164.

```
data_CdI2
_space_group_name_H-M_alt 'P 1'
_space_group_IT_number 1
_cell_length_a 4.333
_cell_length_b 4.333
_cell_length_c 29.640
_cell_angle_alpha 90.00
_cell_angle_beta 90.00
_cell_angle_gamma 120.00
loop_
_space_group_symop_operation_xyz
'x,y,z'
loop_
_atom_site_label
_atom_site_fract_x
_atom_site_fract_y
_atom_site_fract_z
_atom_site_occupancy
Cd1 0.000 0.000 0.000 1
Cd2 0.667 0.333 0.750 1
Cd3 0.333 0.667 0.250 1
Cd4 0.000 0.000 0.500 1
I1 0.000 0.000 0.308 1
I2 0.667 0.333 0.442 1
I3 0.000 0.000 0.692 1
I4 0.333 0.667 0.558 1
I5 0.333 0.667 0.808 1
I6 0.667 0.333 0.942 1
I7 0.667 0.333 0.192 1
I8 0.333 0.667 0.058 1
```

CdI2 | PBE | relaxed

Properties
The raw total energy comes out at -1.91 eV per atom. Its formation enthalpy at 0 K is -0.84 eV/atom. As for the space group: P3m1, No. 156.

```
data_CdI2
_space_group_name_H-M_alt 'P 1'
_space_group_IT_number 1
_cell_length_a 4.336
_cell_length_b 4.336
_cell_length_c 74.053
_cell_angle_alpha 90.00
_cell_angle_beta 90.00
_cell_angle_gamma 120.00
loop_
_space_group_symop_operation_xyz
'x,y,z'
loop_
_atom_site_label
_atom_site_fract_x
_atom_site_fract_y
_atom_site_fract_z
_atom_site_occupancy
Cd1 0.000 0.000 0.225 1
Cd2 0.667 0.333 0.925 1
Cd3 0.000 0.000 0.025 1
Cd4 0.333 0.667 0.825 1
Cd5 0.000 0.000 0.425 1
Cd6 0.667 0.333 0.525 1
Cd7 0.667 0.333 0.725 1
Cd8 0.667 0.333 0.325 1
Cd9 0.667 0.333 0.125 1
Cd10 0.333 0.667 0.625 1
I1 0.333 0.667 0.102 1
I2 0.667 0.333 0.448 1
I3 0.000 0.000 0.648 1
I4 0.333 0.667 0.302 1
I5 0.000 0.000 0.948 1
I6 0.333 0.667 0.202 1
I7 0.333 0.667 0.402 1
I8 0.000 0.000 0.348 1
I9 0.000 0.000 0.548 1
I10 0.333 0.667 0.902 1
I11 0.667 0.333 0.802 1
I12 0.000 0.000 0.148 1
I13 0.333 0.667 0.002 1
I14 0.667 0.333 0.048 1
I15 0.000 0.000 0.848 1
I16 0.667 0.333 0.602 1
I17 0.667 0.333 0.248 1
I18 0.333 0.667 0.502 1
I19 0.333 0.667 0.702 1
I20 0.000 0.000 0.748 1
```

CdI2 | PBE | relaxed

Properties
The raw total energy comes out at -1.91 eV per atom. Its formation enthalpy at 0 K is -0.84 eV/atom. As for the space group: P3m1, No. 156.

```
data_CdI2
_space_group_name_H-M_alt 'P 1'
_space_group_IT_number 1
_cell_length_a 4.334
_cell_length_b 4.334
_cell_length_c 59.317
_cell_angle_alpha 90.00
_cell_angle_beta 90.00
_cell_angle_gamma 120.00
loop_
_space_group_symop_operation_xyz
'x,y,z'
loop_
_atom_site_label
_atom_site_fract_x
_atom_site_fract_y
_atom_site_fract_z
_atom_site_occupancy
Cd1 0.000 0.000 0.781 1
Cd2 0.000 0.000 0.406 1
Cd3 0.000 0.000 0.906 1
Cd4 0.667 0.333 0.531 1
Cd5 0.667 0.333 0.281 1
Cd6 0.000 0.000 0.156 1
Cd7 0.667 0.333 0.031 1
Cd8 0.667 0.333 0.656 1
I1 0.333 0.667 0.810 1
I2 0.333 0.667 0.560 1
I3 0.667 0.333 0.127 1
I4 0.000 0.000 0.252 1
I5 0.333 0.667 0.060 1
I6 0.333 0.667 0.435 1
I7 0.667 0.333 0.752 1
I8 0.333 0.667 0.185 1
I9 0.667 0.333 0.877 1
I10 0.333 0.667 0.310 1
I11 0.333 0.667 0.935 1
I12 0.000 0.000 0.502 1
I13 0.667 0.333 0.377 1
I14 0.000 0.000 0.627 1
I15 0.333 0.667 0.685 1
I16 0.000 0.000 0.002 1
```